# meta-GGA r2SCAN Er2TeO2, optimized geometry
data_Er2TeO2
_chemical_formula_sum 'Er2 Te1 O2'
_cell_length_a 6.7374
_cell_length_b 6.7374
_cell_length_c 6.7374
_cell_angle_alpha 146.58
_cell_angle_beta 146.58
_cell_angle_gamma 47.98
_symmetry_space_group_name_H-M 'P 1'
_symmetry_Int_Tables_number 1
loop_
_symmetry_equiv_pos_as_xyz
'x,y,z'
loop_
_atom_site_label
_atom_site_type_symbol
_atom_site_fract_x
_atom_site_fract_y
_atom_site_fract_z
Er1 Er 0.6636 0.6636 0.0000
Er2 Er 0.3364 0.3364 0.0000
Te1 Te 0.0000 0.0000 0.0000
O1 O 0.2500 0.7500 0.5000
O2 O 0.7500 0.2500 0.5000
# **Volume**: 92.4 Å³/f.u.
# **E_form**: -3304 meV/atom
# **Uncorrected energy**: -121.734 eV per cell